1.
CaGdCd2 | the Materials Project | PBE-GGA | optimized geometry; DFT formation energy = -346 meV/atom; V = 27.6 Å³/atom
1.0
0.000 3.809 3.809
3.809 0.000 3.809
3.809 3.809 0.000
Ca Gd Cd
1 1 2
Direct
0.000 0.000 0.000
0.500 0.500 0.500
0.250 0.250 0.250
0.750 0.750 0.750


2.
CaCdGe | the Materials Project | PBE-GGA | optimized geometry; DFT formation energy = -494 meV/atom; V = 23.7 Å³/atom
1.0
7.384 0.000 0.000
-3.692 6.395 0.000
0.000 0.000 4.511
Ca Cd Ge
3 3 3
Direct
0.000 0.581 0.000
0.419 0.419 0.000
0.581 0.000 0.000
0.000 0.255 0.500
0.255 0.000 0.500
0.745 0.745 0.500
0.000 0.000 0.000
0.333 0.667 0.500
0.667 0.333 0.500


3.
Ca2CdHg | the Materials Project | PBE-GGA | optimized geometry; DFT formation energy = -450 meV/atom; excess energy over the best structure of this formula in the dataset = 0 meV per atom; V = 28.1 Å³/atom
1.0
0.000 3.831 3.831
3.831 0.000 3.831
3.831 3.831 0.000
Ca Cd Hg
2 1 1
Direct
0.250 0.250 0.250
0.750 0.750 0.750
0.000 0.000 0.000
0.500 0.500 0.500


4.
Ca2CdIn | the Materials Project | PBE-GGA | optimized geometry; DFT formation energy = -423 meV/atom; V = 28.8 Å³/atom
1.0
0.000 3.860 3.860
3.860 0.000 3.860
3.860 3.860 0.000
Ca Cd In
2 1 1
Direct
0.250 0.250 0.250
0.750 0.750 0.750
0.000 0.000 0.000
0.500 0.500 0.500


5.
KCa2Cd2Sb3 | the Materials Project | PBE-GGA | optimized geometry; DFT formation energy = -713 meV/atom; V = 30.4 Å³/atom; corrected total energy (MP2020 scheme) = -3.132 eV per atom
1.0
12.485 0.000 0.000
0.000 4.843 0.000
0.000 0.000 16.098
K Ca Cd Sb
4 8 8 12
Direct
0.090 0.250 0.039
0.410 0.750 0.539
0.590 0.250 0.461
0.910 0.750 0.961
0.100 0.750 0.423
0.143 0.250 0.777
0.357 0.750 0.277
0.400 0.250 0.923
0.600 0.750 0.077
0.643 0.250 0.723
0.857 0.750 0.223
0.900 0.250 0.577
0.123 0.250 0.279
0.202 0.250 0.573
0.298 0.750 0.073
0.377 0.750 0.779
0.623 0.250 0.221
0.702 0.250 0.927
0.798 0.750 0.427
0.877 0.750 0.721
0.082 0.750 0.625
0.110 0.750 0.189
0.210 0.750 0.907
0.290 0.250 0.407
0.390 0.250 0.689
0.418 0.250 0.125
0.582 0.750 0.875
0.610 0.750 0.311
0.710 0.750 0.593
0.790 0.250 0.093
0.890 0.250 0.811
0.918 0.250 0.375


6.
CaMg14CdO16 | the Materials Project | PBE-GGA | optimized geometry; DFT formation energy = -2906 meV/atom; V = 10.3 Å³/atom; corrected total energy (MP2020 scheme) = -6.171 eV per atom
1.0
8.675 0.000 0.000
0.000 8.675 0.000
0.000 0.000 4.370
Ca Mg Cd O
1 14 1 16
Direct
0.000 0.000 0.000
0.000 0.255 0.500
0.000 0.500 0.000
0.000 0.745 0.500
0.245 0.500 0.500
0.251 0.251 0.000
0.251 0.749 0.000
0.255 0.000 0.500
0.500 0.000 0.000
0.500 0.245 0.500
0.500 0.755 0.500
0.745 0.000 0.500
0.749 0.251 0.000
0.749 0.749 0.000
0.755 0.500 0.500
0.500 0.500 0.000
0.000 0.000 0.500
0.000 0.261 0.000
0.000 0.500 0.500
0.000 0.739 0.000
0.237 0.500 0.000
0.250 0.250 0.500
0.250 0.750 0.500
0.261 0.000 0.000
0.500 0.000 0.500
0.500 0.237 0.000
0.500 0.500 0.500
0.500 0.763 0.000
0.739 0.000 0.000
0.750 0.250 0.500
0.750 0.750 0.500
0.763 0.500 0.000


7.
CaMg6CdO8 | the Materials Project | PBE-GGA | optimized geometry; DFT formation energy = -2778 meV/atom; excess energy over the best structure of this formula in the dataset = 0 meV per atom; V = 10.9 Å³/atom; corrected total energy (MP2020 scheme) = -6.036 eV per atom
1.0
4.458 0.000 0.000
0.000 4.458 0.000
0.000 0.000 8.803
Ca Mg Cd O
1 6 1 8
Direct
0.000 0.000 0.000
0.000 0.000 0.500
0.000 0.500 0.263
0.000 0.500 0.737
0.500 0.000 0.263
0.500 0.000 0.737
0.500 0.500 0.500
0.500 0.500 0.000
0.000 0.000 0.265
0.000 0.000 0.735
0.000 0.500 0.000
0.000 0.500 0.500
0.500 0.000 0.000
0.500 0.000 0.500
0.500 0.500 0.268
0.500 0.500 0.732


8.
CaMg6CdO8 | the Materials Project | PBE-GGA | optimized geometry; DFT formation energy = -2743 meV/atom; excess energy over the best structure of this formula in the dataset = 36 meV per atom; V = 11.0 Å³/atom; corrected total energy (MP2020 scheme) = -6.000 eV per atom
1.0
4.454 0.000 0.000
0.000 4.454 0.000
0.000 0.000 8.893
Ca Mg Cd O
1 6 1 8
Direct
0.000 0.000 0.000
0.000 0.500 0.251
0.000 0.500 0.749
0.500 0.000 0.251
0.500 0.000 0.749
0.500 0.500 0.000
0.500 0.500 0.500
0.000 0.000 0.500
0.000 0.000 0.248
0.000 0.000 0.752
0.000 0.500 0.000
0.000 0.500 0.500
0.500 0.000 0.000
0.500 0.000 0.500
0.500 0.500 0.250
0.500 0.500 0.750